Material: BaAl2Si3O14
Method: DFT, PBE
State: relaxed

**Size of the total moment**: 2.00 μB per formula unit
**Space group**: No. 18
**Total DFT energy (no corrections)**: -281.90 eV for the cell shown
**Calculated volume**: 15.9 Å³ per atom
**Formation enthalpy at 0 K**: -2412 meV/atom

```
BaAl2Si3O14
1.0
9.513 0.000 0.000
0.000 9.889 0.000
0.000 0.000 6.741
Ba Al Si O
2 4 6 28
Cartesian
0.000 0.000 0.350
4.756 4.944 6.391
0.918 6.568 5.867
3.838 1.624 0.874
5.675 8.265 0.874
8.594 3.320 5.867
0.000 4.944 3.285
1.633 3.983 0.786
3.124 8.928 5.955
4.756 0.000 3.456
6.389 0.961 5.955
7.880 5.905 0.786
0.116 1.010 3.231
0.480 2.997 0.176
0.473 6.163 4.236
0.960 8.320 2.965
1.239 4.484 2.298
1.682 8.160 5.892
1.936 5.289 6.564
2.821 0.345 0.177
3.074 3.216 0.849
3.517 9.429 4.443
3.796 3.376 3.777
4.283 1.218 2.505
4.276 7.941 6.565
4.640 5.954 3.511
4.872 3.934 3.511
5.236 1.947 6.565
5.229 8.670 2.505
5.717 6.512 3.777
5.995 0.460 4.443
6.439 6.673 0.849
6.692 9.544 0.177
7.577 4.599 6.564
7.830 1.729 5.892
8.273 5.404 2.298
8.552 1.568 2.965
9.040 3.726 4.236
9.032 6.892 0.176
9.396 8.879 3.231
```